Entry 1:
Density functional theory data (PBE) for a relaxed structure of CaEr2Ge4O12.

Cell and atoms, written as POSCAR:
```
CaEr2Ge4O12
1.0
7.123 -7.124 0.000
7.123 7.124 0.000
0.000 0.000 5.080
Ca Er Ge O
2 4 8 24
Direct
0.000 0.500 0.000
0.500 0.000 0.000
0.000 0.000 0.000
0.250 0.250 0.000
0.500 0.500 0.000
0.750 0.750 0.000
0.020 0.750 0.502
0.250 0.520 0.502
0.250 0.980 0.502
0.480 0.750 0.502
0.520 0.250 0.498
0.750 0.020 0.498
0.750 0.480 0.498
0.980 0.250 0.498
0.059 0.172 0.760
0.069 0.323 0.246
0.124 0.876 0.665
0.130 0.630 0.344
0.172 0.059 0.240
0.177 0.431 0.754
0.323 0.069 0.754
0.328 0.441 0.240
0.370 0.870 0.344
0.376 0.624 0.665
0.431 0.177 0.246
0.441 0.328 0.760
0.559 0.672 0.240
0.569 0.823 0.754
0.624 0.376 0.335
0.630 0.130 0.656
0.672 0.559 0.760
0.677 0.931 0.246
0.823 0.569 0.246
0.828 0.941 0.760
0.870 0.370 0.656
0.876 0.124 0.335
0.931 0.677 0.754
0.941 0.828 0.240
```

crystal system: orthorhombic
total magnetization: 0.00 μB/f.u.
calculated total energy: -7.089 eV/atom
energy relative to the elements: -53.924 eV per formula unit
symmetry: No. 67

***

Entry 2:
Density functional theory data (PBE) for a relaxed structure of CaEr6Ta2O14.

Cell and atoms, written as POSCAR:
```
CaEr6Ta2O14
1.0
3.735 -5.360 0.000
3.735 5.360 0.000
-0.009 0.000 7.775
Ca Er Ta O
1 6 2 14
Direct
0.000 0.000 0.000
0.178 0.303 0.718
0.188 0.812 0.500
0.272 0.728 0.000
0.273 0.316 0.264
0.684 0.727 0.736
0.697 0.822 0.282
0.686 0.314 0.000
0.713 0.287 0.500
0.024 0.939 0.714
0.033 0.373 0.477
0.060 0.358 0.012
0.061 0.976 0.286
0.321 0.661 0.727
0.339 0.679 0.273
0.362 0.148 0.983
0.386 0.235 0.524
0.627 0.967 0.523
0.642 0.940 0.988
0.651 0.257 0.250
0.743 0.349 0.750
0.765 0.614 0.476
0.852 0.638 0.017
```

crystal system: monoclinic
total magnetization: 0.00 μB/f.u.
calculated total energy: -8.432 eV/atom
energy relative to the elements: -81.148 eV per formula unit
symmetry: No. 5

***

Entry 3:
Density functional theory data (PBE) for a relaxed structure of CaEr2Te4.

Cell and atoms, written as POSCAR:
```
CaEr2Te4
1.0
7.479 0.000 0.000
0.000 4.393 0.000
-2.351 0.000 7.399
Ca Er Te
1 2 4
Direct
0.000 0.000 0.000
0.000 0.500 0.500
0.500 0.000 0.500
0.245 0.000 0.736
0.260 0.500 0.257
0.740 0.500 0.743
0.755 0.000 0.264
```

crystal system: monoclinic
calculated total energy: -4.840 eV/atom
energy relative to the elements: -11.851 eV per formula unit
symmetry: No. 10

***

Entry 4:
Density functional theory data (PBE) for a relaxed structure of CaEuGa2.

Cell and atoms, written as POSCAR:
```
CaEuGa2
1.0
0.000 3.719 3.719
3.719 0.000 3.719
3.719 3.719 0.000
Ca Eu Ga
1 1 2
Direct
0.000 0.000 0.000
0.500 0.500 0.500
0.250 0.250 0.250
0.750 0.750 0.750
```

crystal system: cubic
calculated total energy: -5.045 eV/atom
energy relative to the elements: -1.863 eV per formula unit
symmetry: No. 225

***

Entry 5:
Density functional theory data (PBE) for a relaxed structure of CaEuZrGaO6.

Cell and atoms, written as POSCAR:
```
CaEuZrGaO6
1.0
0.000 4.025 4.025
4.025 0.000 4.025
4.025 4.025 0.000
Ca Eu Zr Ga O
1 1 1 1 6
Direct
0.000 0.000 0.000
0.500 0.500 0.500
0.750 0.750 0.750
0.250 0.250 0.250
0.007 0.007 0.493
0.007 0.493 0.007
0.007 0.493 0.493
0.493 0.007 0.007
0.493 0.007 0.493
0.493 0.493 0.007
```

crystal system: cubic
total magnetization: 6.00 μB/f.u.
calculated total energy: -7.970 eV/atom
energy relative to the elements: -30.295 eV per formula unit
symmetry: No. 216

***

Entry 6:
Density functional theory data (PBE) for a relaxed structure of CaEuGe4O12.

Cell and atoms, written as POSCAR:
```
CaEuGe4O12
1.0
5.298 0.000 0.000
0.000 5.298 0.000
0.000 0.000 7.510
Ca Eu Ge O
1 1 4 12
Direct
0.000 0.000 0.000
0.500 0.500 0.500
0.000 0.500 0.246
0.000 0.500 0.754
0.500 0.000 0.246
0.500 0.000 0.754
0.000 0.500 0.000
0.000 0.500 0.500
0.252 0.252 0.254
0.252 0.252 0.746
0.252 0.748 0.254
0.252 0.748 0.746
0.500 0.000 0.000
0.500 0.000 0.500
0.748 0.252 0.254
0.748 0.252 0.746
0.748 0.748 0.254
0.748 0.748 0.746
```

crystal system: tetragonal
total magnetization: 3.01 μB/f.u.
calculated total energy: -6.548 eV/atom
energy relative to the elements: -35.969 eV per formula unit
symmetry: No. 123

***

Entry 7:
Density functional theory data (PBE) for a relaxed structure of CaEuHfNbO6.

Cell and atoms, written as POSCAR:
```
CaEuHfNbO6
1.0
0.000 4.091 4.091
4.091 0.000 4.091
4.091 4.091 0.000
Ca Eu Hf Nb O
1 1 1 1 6
Direct
0.000 0.000 0.000
0.500 0.500 0.500
0.750 0.750 0.750
0.250 0.250 0.250
0.002 0.002 0.498
0.002 0.498 0.002
0.002 0.498 0.498
0.498 0.002 0.002
0.498 0.002 0.498
0.498 0.498 0.002
```

crystal system: cubic
total magnetization: 6.48 μB/f.u.
calculated total energy: -9.151 eV/atom
energy relative to the elements: -33.624 eV per formula unit
symmetry: No. 216

***

Entry 8:
Density functional theory data (PBE) for a relaxed structure of CaEuHfTiO6.

Cell and atoms, written as POSCAR:
```
CaEuHfTiO6
1.0
0.000 4.011 4.011
4.011 0.000 4.011
4.011 4.011 0.000
Ca Eu Hf Ti O
1 1 1 1 6
Direct
0.000 0.000 0.000
0.500 0.500 0.500
0.750 0.750 0.750
0.250 0.250 0.250
0.006 0.006 0.494
0.006 0.494 0.006
0.006 0.494 0.494
0.494 0.006 0.006
0.494 0.006 0.494
0.494 0.494 0.006
```

crystal system: cubic
total magnetization: 7.00 μB/f.u.
calculated total energy: -9.168 eV/atom
energy relative to the elements: -36.003 eV per formula unit
symmetry: No. 216

***

Entry 9:
Density functional theory data (PBE) for a relaxed structure of CaEuHg2.

Cell and atoms, written as POSCAR:
```
CaEuHg2
1.0
0.000 3.886 3.886
3.886 0.000 3.886
3.886 3.886 0.000
Ca Eu Hg
1 1 2
Direct
0.000 0.000 0.000
0.500 0.500 0.500
0.250 0.250 0.250
0.750 0.750 0.750
```

crystal system: cubic
calculated total energy: -3.766 eV/atom
energy relative to the elements: -2.194 eV per formula unit
symmetry: No. 225

***

Entry 10:
Density functional theory data (PBE) for a relaxed structure of CaEuIn2.

Cell and atoms, written as POSCAR:
```
CaEuIn2
1.0
0.000 3.970 3.970
3.970 0.000 3.970
3.970 3.970 0.000
Ca Eu In
1 1 2
Direct
0.000 0.000 0.000
0.500 0.500 0.500
0.250 0.250 0.250
0.750 0.750 0.750
```

crystal system: cubic
calculated total energy: -4.911 eV/atom
energy relative to the elements: -1.876 eV per formula unit
symmetry: No. 225

***

Entry 11:
Density functional theory data (PBE) for a relaxed structure of CaEuInSbO6.

Cell and atoms, written as POSCAR:
```
CaEuInSbO6
1.0
0.000 4.136 4.136
4.136 0.000 4.136
4.136 4.136 0.000
Ca Eu In Sb O
1 1 1 1 6
Direct
0.000 0.000 0.000
0.500 0.500 0.500
0.750 0.750 0.750
0.250 0.250 0.250
0.009 0.009 0.491
0.009 0.491 0.009
0.009 0.491 0.491
0.491 0.009 0.009
0.491 0.009 0.491
0.491 0.491 0.009
```

crystal system: cubic
total magnetization: 6.89 μB/f.u.
calculated total energy: -6.922 eV/atom
energy relative to the elements: -24.512 eV per formula unit
symmetry: No. 216

***

Entry 12:
Density functional theory data (PBE) for a relaxed structure of CaLaEuSbO6.

Cell and atoms, written as POSCAR:
```
CaLaEuSbO6
1.0
0.000 4.167 4.167
4.167 0.000 4.167
4.167 4.167 0.000
Ca La Eu Sb O
1 1 1 1 6
Direct
0.000 0.000 0.000
0.250 0.250 0.250
0.750 0.750 0.750
0.500 0.500 0.500
0.263 0.263 0.737
0.263 0.737 0.263
0.263 0.737 0.737
0.737 0.263 0.263
0.737 0.263 0.737
0.737 0.737 0.263
```

crystal system: cubic
total magnetization: 7.00 μB/f.u.
calculated total energy: -7.596 eV/atom
energy relative to the elements: -29.066 eV per formula unit
symmetry: No. 216

***

Entry 13:
Density functional theory data (PBE) for a relaxed structure of CaEuMg2.

Cell and atoms, written as POSCAR:
```
CaEuMg2
1.0
0.000 4.136 4.136
4.136 0.000 4.136
4.136 4.136 0.000
Ca Eu Mg
1 1 2
Direct
0.000 0.000 0.000
0.500 0.500 0.500
0.250 0.250 0.250
0.750 0.750 0.750
```

crystal system: cubic
total magnetization: 7.47 μB/f.u.
calculated total energy: -3.926 eV/atom
energy relative to the elements: -0.239 eV per formula unit
symmetry: No. 225

***

Entry 14:
Density functional theory data (PBE) for a relaxed structure of CaEuMgNbO6.

Cell and atoms, written as POSCAR:
```
CaEuMgNbO6
1.0
0.000 3.992 3.992
3.992 0.000 3.992
3.992 3.992 0.000
Ca Eu Mg Nb O
1 1 1 1 6
Direct
0.000 0.000 0.000
0.500 0.500 0.500
0.250 0.250 0.250
0.750 0.750 0.750
0.501 0.501 0.999
0.501 0.999 0.501
0.501 0.999 0.999
0.999 0.501 0.501
0.999 0.501 0.999
0.999 0.999 0.501
```

crystal system: cubic
total magnetization: 6.00 μB/f.u.
calculated total energy: -8.037 eV/atom
energy relative to the elements: -30.837 eV per formula unit
symmetry: No. 216

***

Entry 15:
Density functional theory data (PBE) for a relaxed structure of CaEuMgSbO6.

Cell and atoms, written as POSCAR:
```
CaEuMgSbO6
1.0
0.000 4.000 4.000
4.000 0.000 4.000
4.000 4.000 0.000
Ca Eu Mg Sb O
1 1 1 1 6
Direct
0.000 0.000 0.000
0.500 0.500 0.500
0.250 0.250 0.250
0.750 0.750 0.750
0.503 0.503 0.997
0.503 0.997 0.503
0.503 0.997 0.997
0.997 0.503 0.503
0.997 0.503 0.997
0.997 0.997 0.503
```

crystal system: cubic
total magnetization: 6.00 μB/f.u.
calculated total energy: -7.072 eV/atom
energy relative to the elements: -27.164 eV per formula unit
symmetry: No. 216

***

Entry 16:
Density functional theory data (PBE) for a relaxed structure of NaCaEuSeO6.

Cell and atoms, written as POSCAR:
```
NaCaEuSeO6
1.0
0.000 3.998 3.998
3.998 0.000 3.998
3.998 3.998 0.000
Na Ca Eu Se O
1 1 1 1 6
Direct
0.000 0.000 0.000
0.250 0.250 0.250
0.500 0.500 0.500
0.750 0.750 0.750
0.525 0.525 0.975
0.525 0.975 0.525
0.525 0.975 0.975
0.975 0.525 0.525
0.975 0.525 0.975
0.975 0.975 0.525
```

crystal system: cubic
total magnetization: 6.00 μB/f.u.
calculated total energy: -6.450 eV/atom
energy relative to the elements: -21.857 eV per formula unit
symmetry: No. 216

***

Entry 17:
Density functional theory data (PBE) for a relaxed structure of CaTbEuNbO6.

Cell and atoms, written as POSCAR:
```
CaTbEuNbO6
1.0
0.000 4.216 4.216
4.216 0.000 4.216
4.216 4.216 0.000
Ca Tb Eu Nb O
1 1 1 1 6
Direct
0.000 0.000 0.000
0.750 0.750 0.750
0.500 0.500 0.500
0.250 0.250 0.250
0.012 0.012 0.488
0.012 0.488 0.012
0.012 0.488 0.488
0.488 0.012 0.012
0.488 0.012 0.488
0.488 0.488 0.012
```

crystal system: cubic
total magnetization: 7.00 μB/f.u.
calculated total energy: -8.551 eV/atom
energy relative to the elements: -32.949 eV per formula unit
symmetry: No. 216

***

Entry 18:
Density functional theory data (PBE) for a relaxed structure of CaEuZrNbO6.

Cell and atoms, written as POSCAR:
```
CaEuZrNbO6
1.0
0.000 4.120 4.120
4.120 0.000 4.120
4.120 4.120 0.000
Ca Eu Zr Nb O
1 1 1 1 6
Direct
0.000 0.000 0.000
0.500 0.500 0.500
0.250 0.250 0.250
0.750 0.750 0.750
0.504 0.504 0.996
0.504 0.996 0.504
0.504 0.996 0.996
0.996 0.504 0.504
0.996 0.504 0.996
0.996 0.996 0.504
```

crystal system: cubic
total magnetization: 6.72 μB/f.u.
calculated total energy: -8.935 eV/atom
energy relative to the elements: -32.872 eV per formula unit
symmetry: No. 216

***

Entry 19:
Density functional theory data (PBE) for a relaxed structure of Ca2EuZn9Ni6.

Cell and atoms, written as POSCAR:
```
Ca2EuZn9Ni6
1.0
9.155 0.000 0.000
-4.577 7.928 0.000
0.000 0.000 4.182
Ca Eu Zn Ni
2 1 9 6
Direct
0.333 0.667 0.000
0.667 0.333 0.000
0.000 0.000 0.500
0.000 0.293 0.000
0.000 0.500 0.500
0.000 0.707 0.000
0.293 0.000 0.000
0.293 0.293 0.000
0.500 0.000 0.500
0.500 0.500 0.500
0.707 0.000 0.000
0.707 0.707 0.000
0.182 0.363 0.500
0.182 0.818 0.500
0.363 0.182 0.500
0.637 0.818 0.500
0.818 0.182 0.500
0.818 0.637 0.500
```

crystal system: hexagonal
total magnetization: 6.92 μB/f.u.
calculated total energy: -3.656 eV/atom
energy relative to the elements: -5.530 eV per formula unit
symmetry: No. 191

***

Entry 20:
Density functional theory data (PBE) for a relaxed structure of CaEuO2.

Cell and atoms, written as POSCAR:
```
CaEuO2
1.0
1.753 1.012 5.764
-1.753 1.012 5.764
0.000 -2.024 5.764
Ca Eu O
1 1 2
Direct
0.000 0.000 0.000
0.500 0.500 0.500
0.254 0.254 0.254
0.746 0.746 0.746
```

crystal system: trigonal
total magnetization: 7.01 μB/f.u.
calculated total energy: -8.386 eV/atom
energy relative to the elements: -12.759 eV per formula unit
symmetry: No. 166

***

Entry 21:
Density functional theory data (PBE) for a relaxed structure of CaSmEuSbO6.

Cell and atoms, written as POSCAR:
```
CaSmEuSbO6
1.0
0.000 4.232 4.232
4.232 0.000 4.232
4.232 4.232 0.000
Ca Sm Eu Sb O
1 1 1 1 6
Direct
0.000 0.000 0.000
0.750 0.750 0.750
0.500 0.500 0.500
0.250 0.250 0.250
0.015 0.015 0.485
0.015 0.485 0.015
0.015 0.485 0.485
0.485 0.015 0.015
0.485 0.015 0.485
0.485 0.485 0.015
```

crystal system: cubic
total magnetization: 7.00 μB/f.u.
calculated total energy: -7.555 eV/atom
ΔE to the lowest computed polymorph: 85 meV/atom
energy relative to the elements: -28.875 eV per formula unit
symmetry: No. 216